No. 1
# GGA+U MgZn2Co2Si2O10, relaxed
# ΔE_f   -2.187 eV per atom
# Final energy   -6.22 eV per atom
data_MgZn2Co2Si2O10
_chemical_formula_sum 'Mg1 Zn2 Co2 Si2 O10'
_cell_length_a 5.630
_cell_length_b 6.227
_cell_length_c 6.717
_cell_angle_alpha 73.12
_cell_angle_beta 74.03
_cell_angle_gamma 88.44
_space_group_name_H-M_alt 'P 1'
_space_group_IT_number 1
loop_
_space_group_symop_operation_xyz
'x,y,z'
loop_
_atom_site_label
_atom_site_type_symbol
_atom_site_fract_x
_atom_site_fract_y
_atom_site_fract_z
Mg1 Mg 0.000 0.000 0.000
Zn1 Zn 0.142 0.391 0.154
Zn2 Zn 0.591 0.017 0.620
Co1 Co 0.735 0.636 0.412
Co2 Co 0.783 0.596 0.913
Si1 Si 0.176 0.345 0.620
Si2 Si 0.505 0.096 0.113
O1 O 0.036 0.378 0.860
O2 O 0.207 0.046 0.182
O3 O 0.242 0.080 0.690
O4 O 0.437 0.498 0.493
O5 O 0.514 0.379 0.063
O6 O 0.658 0.988 0.296
O7 O 0.667 0.017 0.905
O8 O 0.768 0.739 0.644
O9 O 0.931 0.662 0.108
O10 O 0.987 0.394 0.465

---

No. 2
# GGA+U BaDyFe2O5, relaxed
# ΔE_f   -2.565 eV per atom
# Final energy   -7.04 eV per atom
data_BaDyFe2O5
_chemical_formula_sum 'Ba2 Dy2 Fe4 O10'
_cell_length_a 7.941
_cell_length_b 3.979
_cell_length_c 7.731
_cell_angle_alpha 90.00
_cell_angle_beta 90.00
_cell_angle_gamma 90.00
_space_group_name_H-M_alt 'P m m a'
_space_group_IT_number 51
loop_
_space_group_symop_operation_xyz
'x,y,z'
'-x,-y,-z'
'-x+1/2,-y,z'
'x+1/2,y,-z'
'x+1/2,-y,-z'
'-x+1/2,y,z'
'-x,y,-z'
'x,-y,z'
loop_
_atom_site_label
_atom_site_type_symbol
_atom_site_fract_x
_atom_site_fract_y
_atom_site_fract_z
Ba1 Ba 0.000 0.000 0.000
Dy1 Dy 0.000 0.000 0.500
Fe1 Fe 0.250 0.500 0.263
Fe2 Fe 0.250 0.500 0.722
O1 O 0.006 0.500 0.317
O2 O 0.250 0.000 0.316
O3 O 0.250 0.000 0.683
O4 O 0.250 0.500 0.014

---

No. 3
# GGA+U Li2MnSi2O6, relaxed
# ΔE_f   -2.795 eV per atom
# Final energy   -7.13 eV per atom
data_Li2MnSi2O6
_chemical_formula_sum 'Li8 Mn4 Si8 O24'
_cell_length_a 10.755
_cell_length_b 10.690
_cell_length_c 5.198
_cell_angle_alpha 90.00
_cell_angle_beta 118.22
_cell_angle_gamma 90.00
_space_group_name_H-M_alt 'C 1 2 1'
_space_group_IT_number 5
loop_
_space_group_symop_operation_xyz
'x,y,z'
'-x,y,-z'
'x+1/2,y+1/2,z'
'-x+1/2,y+1/2,-z'
loop_
_atom_site_label
_atom_site_type_symbol
_atom_site_fract_x
_atom_site_fract_y
_atom_site_fract_z
Li1 Li 0.000 0.000 0.000
Li2 Li 0.000 0.435 0.500
Li3 Li 0.104 0.894 0.454
Mn1 Mn 0.000 0.170 0.500
Mn2 Mn 0.000 0.393 0.000
Si1 Si 0.207 0.780 0.011
Si2 Si 0.212 0.615 0.514
O1 O 0.104 0.894 0.835
O2 O 0.118 0.493 0.362
O3 O 0.120 0.307 0.825
O4 O 0.121 0.079 0.358
O5 O 0.174 0.735 0.282
O6 O 0.179 0.664 0.777

---

No. 4
# GGA+U TiZnNiP2O9, relaxed
# ΔE_f   -2.548 eV per atom
# Final energy   -6.95 eV per atom
data_TiZnNiP2O9
_chemical_formula_sum 'Ti4 Zn4 Ni4 P8 O36'
_cell_length_a 14.360
_cell_length_b 6.272
_cell_length_c 7.343
_cell_angle_alpha 90.00
_cell_angle_beta 90.00
_cell_angle_gamma 90.00
_space_group_name_H-M_alt 'P n m a'
_space_group_IT_number 62
loop_
_space_group_symop_operation_xyz
'x,y,z'
'-x,-y,-z'
'-x+1/2,-y,z+1/2'
'x+1/2,y,-z+1/2'
'x+1/2,-y+1/2,-z+1/2'
'-x+1/2,y+1/2,z+1/2'
'-x,y+1/2,-z'
'x,-y+1/2,z'
loop_
_atom_site_label
_atom_site_type_symbol
_atom_site_fract_x
_atom_site_fract_y
_atom_site_fract_z
Ti1 Ti 0.115 0.250 0.152
Zn1 Zn 0.217 0.250 0.616
Ni1 Ni 0.000 0.000 0.500
P1 P 0.070 0.750 0.144
P2 P 0.199 0.750 0.610
O1 O 0.007 0.250 0.000
O2 O 0.025 0.750 0.333
O3 O 0.052 0.250 0.356
O4 O 0.137 0.560 0.121
O5 O 0.140 0.538 0.611
O6 O 0.230 0.250 0.950
O7 O 0.238 0.250 0.286